# 1
## YAl4Ni (PBE-GGA)

Data for a geometry-optimized YAl4Ni structure.

The structure in extended XYZ format:
```
12
Lattice="2.0299 -7.7209 0.0000 2.0299 7.7209 0.0000 0.0000 0.0000 6.6276" Properties=species:S:1:pos:R:3 pbc="T T T"
Ni 2.0299 -3.4965 4.9707
Ni 2.0299 3.4965 1.6569
Al 2.0299 1.1804 1.6569
Al 0.0000 0.0000 3.3138
Al 2.0299 -4.8057 0.3509
Al 2.0299 -4.8057 2.9629
Al 2.0299 -1.1804 4.9707
Al 2.0299 4.8057 6.2767
Al 0.0000 0.0000 0.0000
Al 2.0299 4.8057 3.6647
Y 2.0299 -1.8083 1.6569
Y 2.0299 1.8083 4.9707
```



# 2
## Zr4AlNi2 (PBE-GGA)

Data for a geometry-optimized Zr4AlNi2 structure.

The structure in extended XYZ format:
```
28
Lattice="6.1391 -6.7805 1.9586 -3.0240 -8.3075 3.0564 0.5896 -7.5175 -5.5353" Properties=species:S:1:pos:R:3 pbc="T T T"
Zr 0.4631 -2.8257 -0.0650
Zr -1.0489 -6.9794 1.4632
Zr -0.1343 -13.3985 -1.2884
Zr 2.4376 -13.0570 2.1846
Zr 3.8391 -9.2069 0.7681
Zr 3.3638 -18.7083 2.0545
Zr 0.7579 -6.5844 -2.8327
Zr 2.1933 -15.1998 -2.8350
Zr 0.7918 -19.0499 -1.4185
Zr 4.1123 -12.6909 -1.7972
Zr 0.5186 -15.5659 1.1468
Zr -0.4076 -9.9146 1.2769
Zr 4.7652 -14.8583 0.6380
Zr 5.0385 -18.3422 -1.9273
Zr 1.2671 -9.5485 -2.7049
Zr 3.5327 -6.2159 0.9143
Ni 5.5864 -15.0660 -2.6553
Ni 3.0178 -15.6276 3.4520
Ni 1.0235 -5.1117 1.4330
Ni -0.5813 -5.3248 -0.7341
Ni 1.1940 -7.2856 -0.1677
Ni 3.4369 -20.9712 -0.4827
Ni 2.0685 -4.8833 -1.0515
Ni -0.9270 -16.1515 -1.8749
Al -0.7541 -10.7382 -1.3045
Al 2.3154 -14.1284 -0.3252
Al 3.8275 -9.9747 -1.8534
Al 2.0207 -10.3697 2.4425
```

Computed properties:
Energy above the lowest structure with this stoichiometry = 0.003 eV per atom



# 3
## Zr4AlNi2 (PBE-GGA)

Data for a geometry-optimized Zr4AlNi2 structure.

The structure in extended XYZ format:
```
28
Lattice="-6.8996 -2.1623 5.9721 -0.8046 -8.6918 3.1517 1.8348 -1.9547 8.9616" Properties=species:S:1:pos:R:3 pbc="T T T"
Zr -0.0004 -0.0031 0.0023
Zr -3.1809 -3.7585 9.4571
Zr -5.8203 -10.0226 11.3513
Zr -5.4512 -6.0942 9.9279
Zr -0.4122 -6.7223 8.1617
Zr -4.3750 -6.8222 6.8111
Zr -0.4041 -4.3368 1.5772
Zr -1.2290 -5.8420 4.0742
Zr -4.0158 -2.8593 5.3663
Zr -2.6912 -9.0464 8.6366
Zr -0.0433 -2.7798 6.7339
Zr -4.6365 -6.9704 13.9984
Zr -3.4399 -1.0820 2.9856
Zr -1.8610 -9.9434 12.7117
Zr 0.9147 -0.9804 4.4771
Zr -1.5044 -5.9946 11.2734
Al -2.5331 -2.0643 7.4642
Al 0.5091 -5.3224 6.0571
Al -3.8478 -5.4261 4.5664
Al -2.9339 -6.4012 9.0375
Ni -1.1718 -2.5612 3.5979
Ni -5.9837 -8.8829 8.1666
Ni -4.1378 -4.1416 12.2816
Ni 0.1077 -3.9210 9.9204
Ni 0.1541 -8.7485 10.2704
Ni -1.7193 -8.6590 5.8028
Ni -6.0284 -4.0628 7.8162
Ni -4.6968 -10.2555 14.4984
```

Computed properties:
Energy above the lowest structure with this stoichiometry = 0.000 eV per atom



# 4
## ZrAl5Ni2 (PBE-GGA)

Data for a geometry-optimized ZrAl5Ni2 structure.

The structure in extended XYZ format:
```
8
Lattice="4.0210 0.0000 0.0000 0.0000 4.0210 0.0000 -2.0105 -2.0105 7.2911" Properties=species:S:1:pos:R:3 pbc="T T T"
Al 0.0000 2.0105 2.1520
Al 2.0105 0.0000 5.1391
Al 2.0105 0.0000 2.1520
Al 2.0105 2.0105 0.0000
Al 0.0000 2.0105 5.1391
Ni 0.0000 0.0000 3.4939
Ni 2.0105 2.0105 3.7973
Zr 0.0000 0.0000 0.0000
```



# 5
## ZrAlNi (PBE-GGA)

Data for a geometry-optimized ZrAlNi structure.

The structure in extended XYZ format:
```
9
Lattice="3.4537 -5.9820 0.0000 3.4537 5.9820 0.0000 0.0000 0.0000 3.5085" Properties=species:S:1:pos:R:3 pbc="T T T"
Al 2.5922 4.4897 0.0000
Al 2.5922 -4.4897 0.0000
Al 1.7231 0.0000 0.0000
Ni 3.4537 -1.9940 0.0000
Ni 0.0000 0.0000 1.7543
Ni 3.4537 1.9940 0.0000
Zr 1.4058 -2.4349 1.7543
Zr 1.4058 2.4349 1.7543
Zr 4.0959 0.0000 1.7543
```



# 6
## Zr6Al16Ni7 (PBE-GGA)

Data for a geometry-optimized Zr6Al16Ni7 structure.

The structure in extended XYZ format:
```
29
Lattice="-1.7235 -8.3834 0.0259 -4.2946 -3.4658 6.5419 -8.0376 -2.7199 -1.1187" Properties=species:S:1:pos:R:3 pbc="T T T"
Al -9.3669 -9.7091 3.6314
Al -5.8360 -10.4405 1.8350
Al -7.5475 -7.1670 6.1725
Al -10.0391 -6.6706 1.0730
Al -4.6887 -4.8600 1.8177
Al -12.3806 -12.8328 4.7997
Al -2.5770 -6.1233 0.6629
Al -3.9224 -3.5499 4.0728
Al -8.1745 -11.4095 5.3851
Al -11.4787 -8.4458 4.7862
Al -8.2196 -4.1285 3.6141
Al -1.6751 -1.7363 0.6494
Al -6.5082 -7.4020 -0.7234
Al -5.8811 -3.1596 0.0640
Al -4.0166 -7.8985 4.3761
Al -10.1332 -11.0192 1.3763
Ni -2.1473 -1.7329 3.2710
Ni 0.0000 0.0000 0.0000
Ni -4.8805 -5.5516 -0.5464
Ni -0.8618 -4.1917 0.0129
Ni -6.1661 -3.0928 2.7116
Ni -3.0090 -5.9246 3.2839
Ni -4.0188 -1.3600 -0.5594
Zr -5.9818 -5.8230 4.1855
Zr -8.0739 -8.7460 1.2636
Zr -4.9978 -7.7051 1.6917
Zr -6.6414 -9.0315 4.1954
Zr -7.4143 -5.5376 1.2537
Zr -9.0579 -6.8640 3.7574
```



# 7
## ZrAlNi (PBE-GGA)

Data for a geometry-optimized ZrAlNi structure.

The structure in extended XYZ format:
```
6
Lattice="2.3886 0.1696 -4.7646 -1.7007 4.0791 2.9840 4.1471 2.7091 1.9742" Properties=species:S:1:pos:R:3 pbc="T T T"
Zr 4.7824 4.0274 -0.7271
Zr 1.5146 2.5880 0.6682
Ni 0.6642 4.6276 2.1601
Ni 2.7088 2.6728 -1.7142
Al 2.9277 5.1998 1.3538
Al -1.5992 4.0554 2.9665
```



# 8
## ZrAlNi2 (PBE-GGA)

Data for a geometry-optimized ZrAlNi2 structure.

The structure in extended XYZ format:
```
4
Lattice="-1.5128 -2.2696 0.9519 2.1897 -0.7312 1.7367 -2.6064 3.7839 4.8793" Properties=species:S:1:pos:R:3 pbc="T T T"
Al 0.0000 0.0000 0.0000
Ni -0.2111 -0.7025 2.3731
Ni -1.7184 1.4856 5.1948
Zr -1.3032 1.8919 2.4397
```



Going through the records in order, we get calculated total energy values of -5.095 -6.946 -6.949 -5.447 -6.669 -5.871 -6.259 -6.454 eV per atom.